Entry 1:
AgSbO12: relaxed, PBE.

abc: 7.666 7.666 7.436
angles: 90.00 90.00 90.00
Positions (direct):
Ag: 0.000 0.000 0.000
Ag: 0.500 0.500 0.500
Sb: 0.000 0.000 0.500
Sb: 0.500 0.500 0.000
O: 0.627 0.147 0.991
O: 0.373 0.853 0.991
O: 0.647 0.873 0.491
O: 0.873 0.353 0.509
O: 0.353 0.127 0.491
O: 0.127 0.647 0.509
O: 0.853 0.627 0.009
O: 0.147 0.373 0.009
O: 0.283 0.976 0.051
O: 0.717 0.024 0.051
O: 0.476 0.217 0.551
O: 0.217 0.524 0.449
O: 0.524 0.783 0.551
O: 0.783 0.476 0.449
O: 0.024 0.283 0.949
O: 0.976 0.717 0.949
O: 0.178 0.081 0.662
O: 0.822 0.919 0.662
O: 0.581 0.322 0.162
O: 0.322 0.419 0.838
O: 0.419 0.678 0.162
O: 0.678 0.581 0.838
O: 0.919 0.178 0.338
O: 0.081 0.822 0.338

Computed properties:
SG   P4_2/n
Distance to the lowest polymorph of the same formula   0.00 eV per formula unit

Entry 2:
AgSbO3: relaxed, PBE.

abc: 7.371 7.371 7.371
angles: 60.00 60.00 60.00
Positions (direct):
Ag: 0.625 0.125 0.125
Ag: 0.125 0.625 0.125
Ag: 0.125 0.125 0.625
Ag: 0.125 0.125 0.125
Sb: 0.125 0.625 0.625
Sb: 0.625 0.125 0.625
Sb: 0.625 0.625 0.125
Sb: 0.625 0.625 0.625
O: 0.701 0.701 0.299
O: 0.299 0.299 0.701
O: 0.701 0.299 0.701
O: 0.299 0.701 0.299
O: 0.299 0.701 0.701
O: 0.701 0.299 0.299
O: 0.549 0.549 0.951
O: 0.951 0.951 0.549
O: 0.549 0.951 0.549
O: 0.951 0.549 0.951
O: 0.951 0.549 0.549
O: 0.549 0.951 0.951

Computed properties:
SG   Fd-3m

Entry 3:
AgSbO3: relaxed, PBE.

abc: 8.102 8.348 13.443
angles: 90.76 90.34 109.32
Positions (direct):
Ag: 0.159 0.494 0.499
Ag: 0.553 0.552 0.355
Ag: 0.956 0.043 0.074
Ag: 0.844 0.845 0.842
Ag: 0.797 0.783 0.210
Ag: 0.324 0.023 0.997
Ag: 0.524 0.750 0.539
Ag: 0.305 0.303 0.701
Ag: 0.629 0.466 0.557
Ag: 0.008 0.368 0.989
Ag: 0.493 0.103 0.494
Ag: 0.999 0.722 0.017
Sb: 0.662 0.319 0.163
Sb: 0.091 0.576 0.249
Sb: 0.161 0.828 0.668
Sb: 0.423 0.583 0.078
Sb: 0.067 0.905 0.416
Sb: 0.588 0.091 0.754
Sb: 0.410 0.910 0.248
Sb: 0.914 0.075 0.580
Sb: 0.586 0.424 0.916
Sb: 0.835 0.173 0.331
Sb: 0.918 0.416 0.748
Sb: 0.342 0.677 0.829
O: 0.053 0.378 0.337
O: 0.692 0.307 0.017
O: 0.678 0.319 0.314
O: 0.879 0.535 0.162
O: 0.524 0.473 0.185
O: 0.558 0.886 0.834
O: 0.967 0.682 0.348
O: 0.187 0.474 0.136
O: 0.179 0.797 0.521
O: 0.178 0.805 0.178
O: 0.185 0.822 0.818
O: 0.839 0.853 0.498
O: 0.327 0.677 0.318
O: 0.302 0.008 0.357
O: 0.375 0.045 0.665
O: 0.532 0.803 0.149
O: 0.009 0.968 0.691
O: 0.969 0.015 0.309
O: 0.469 0.194 0.854
O: 0.620 0.963 0.334
O: 0.681 0.986 0.641
O: 0.677 0.321 0.684
O: 0.131 0.118 0.501
O: 0.826 0.182 0.179
O: 0.365 0.370 0.994
O: 0.825 0.191 0.818
O: 0.810 0.192 0.477
O: 0.825 0.530 0.860
O: 0.028 0.308 0.641
O: 0.451 0.107 0.158
O: 0.491 0.533 0.806
O: 0.135 0.460 0.829
O: 0.650 0.641 0.000
O: 0.324 0.688 0.676
O: 0.314 0.697 0.976
O: 0.951 0.615 0.664

Computed properties:
SG   P1

Entry 4:
ScAgO3: relaxed, PBE.

abc: 6.489 6.489 3.220
angles: 90.00 90.00 103.22
Positions (direct):
Sc: 0.000 0.500 0.500
Sc: 0.500 0.000 0.500
Ag: 0.000 0.000 0.000
Ag: 0.500 0.500 0.000
O: 0.036 0.313 0.000
O: 0.313 0.036 0.000
O: 0.364 0.636 0.500
O: 0.636 0.364 0.500
O: 0.964 0.687 0.000
O: 0.687 0.964 0.000

Computed properties:
SG   Cmmm

Entry 5:
ScAgO2: relaxed, PBE.

abc: 3.241 3.241 12.523
angles: 90.00 90.00 120.00
Positions (direct):
Sc: 0.000 0.000 0.000
Sc: 0.000 0.000 0.500
Ag: 0.667 0.333 0.750
Ag: 0.333 0.667 0.250
O: 0.333 0.667 0.418
O: 0.667 0.333 0.918
O: 0.333 0.667 0.082
O: 0.667 0.333 0.582

Computed properties:
SG   P6_3/mmc

Entry 6:
ScAgO2: relaxed, PBE.

abc: 3.239 3.239 6.539
angles: 75.66 75.66 60.00
Positions (direct):
Sc: 0.500 0.500 0.500
Ag: 0.000 0.000 0.000
O: 0.112 0.112 0.664
O: 0.888 0.888 0.336

Computed properties:
SG   R-3m

Entry 7:
ScAgO2: relaxed, PBE.

abc: 6.420 6.420 6.420
angles: 28.79 28.79 28.79
Positions (direct):
Sc: 0.002 0.002 0.002
Ag: 0.842 0.842 0.842
O: 0.723 0.723 0.723
O: 0.274 0.274 0.274

Computed properties:
SG   R3m

Entry 8:
UAg2Se2O8: relaxed, PBE.

abc: 6.633 5.999 21.690
angles: 80.49 90.00 90.00
Positions (direct):
U: 0.589 0.278 0.145
U: 0.089 0.722 0.355
U: 0.411 0.722 0.855
U: 0.911 0.278 0.645
Ag: 0.596 0.269 0.340
Ag: 0.096 0.731 0.160
Ag: 0.604 0.761 0.458
Ag: 0.104 0.239 0.042
Ag: 0.396 0.239 0.542
Ag: 0.404 0.731 0.660
Ag: 0.896 0.761 0.958
Ag: 0.904 0.269 0.840
Se: 0.561 0.804 0.275
Se: 0.155 0.738 0.524
Se: 0.439 0.196 0.725
Se: 0.655 0.262 0.976
Se: 0.845 0.262 0.476
Se: 0.061 0.196 0.225
Se: 0.939 0.804 0.775
Se: 0.345 0.738 0.024
O: 0.748 0.333 0.545
O: 0.809 0.540 0.664
O: 0.640 0.086 0.251
O: 0.640 0.533 0.932
O: 0.309 0.460 0.836
O: 0.721 0.662 0.804
O: 0.558 0.151 0.657
O: 0.058 0.849 0.843
O: 0.623 0.167 0.448
O: 0.492 0.012 0.127
O: 0.992 0.988 0.373
O: 0.508 0.988 0.873
O: 0.752 0.333 0.045
O: 0.877 0.167 0.948
O: 0.360 0.467 0.068
O: 0.279 0.338 0.196
O: 0.221 0.338 0.696
O: 0.442 0.849 0.343
O: 0.248 0.667 0.955
O: 0.691 0.540 0.164
O: 0.779 0.662 0.304
O: 0.860 0.533 0.432
O: 0.252 0.667 0.455
O: 0.140 0.914 0.249
O: 0.008 0.012 0.627
O: 0.360 0.914 0.749
O: 0.942 0.151 0.157
O: 0.860 0.086 0.751
O: 0.140 0.467 0.568
O: 0.123 0.833 0.052
O: 0.191 0.460 0.336
O: 0.377 0.833 0.552

Computed properties:
SG   P2_1/c

Entry 9:
SiAg4O4: relaxed, PBE.

abc: 7.462 7.462 4.968
angles: 90.00 90.00 90.00
Positions (direct):
Si: 0.000 0.000 0.500
Si: 0.500 0.500 0.000
Ag: 0.319 0.887 0.954
Ag: 0.819 0.387 0.546
Ag: 0.181 0.613 0.546
Ag: 0.387 0.181 0.454
Ag: 0.613 0.819 0.454
Ag: 0.113 0.319 0.046
Ag: 0.681 0.113 0.954
Ag: 0.887 0.681 0.046
O: 0.561 0.328 0.189
O: 0.172 0.061 0.689
O: 0.672 0.561 0.811
O: 0.939 0.172 0.311
O: 0.828 0.939 0.689
O: 0.439 0.672 0.189
O: 0.328 0.439 0.811
O: 0.061 0.828 0.311

Computed properties:
SG   P4_2/n

Entry 10:
Si4Ag10O13: relaxed, PBE.

abc: 8.112 9.385 11.602
angles: 113.41 98.37 100.58
Positions (direct):
Si: 0.779 0.421 0.755
Si: 0.221 0.579 0.245
Si: 0.268 0.919 0.245
Si: 0.557 0.484 0.250
Si: 0.917 0.024 0.251
Si: 0.732 0.081 0.755
Si: 0.443 0.516 0.750
Si: 0.083 0.976 0.749
Ag: 0.111 0.594 0.642
Ag: 0.159 0.409 0.917
Ag: 0.577 0.124 0.161
Ag: 0.334 0.372 0.433
Ag: 0.214 0.171 0.070
Ag: 0.151 0.731 0.929
Ag: 0.320 0.079 0.570
Ag: 0.849 0.269 0.071
Ag: 0.841 0.591 0.083
Ag: 0.680 0.921 0.430
Ag: 0.786 0.829 0.930
Ag: 0.986 0.818 0.429
Ag: 0.561 0.732 0.084
Ag: 0.439 0.268 0.916
Ag: 0.633 0.237 0.448
Ag: 0.423 0.876 0.839
Ag: 0.666 0.628 0.567
Ag: 0.889 0.406 0.358
Ag: 0.014 0.182 0.571
Ag: 0.367 0.763 0.552
O: 0.595 0.977 0.613
O: 0.620 0.432 0.114
O: 0.725 0.582 0.377
O: 0.356 0.894 0.123
O: 0.831 0.259 0.763
O: 0.884 0.579 0.890
O: 0.186 0.969 0.879
O: 0.275 0.418 0.623
O: 0.644 0.106 0.877
O: 0.405 0.023 0.387
O: 0.433 0.611 0.255
O: 0.169 0.741 0.237
O: 0.116 0.421 0.110
O: 0.814 0.031 0.121
O: 0.175 0.567 0.373
O: 0.825 0.433 0.627
O: 0.183 0.138 0.735
O: 0.562 0.676 0.744
O: 0.934 0.190 0.380
O: 0.113 0.009 0.232
O: 0.887 0.991 0.768
O: 0.380 0.568 0.886
O: 0.066 0.810 0.620
O: 0.817 0.862 0.265
O: 0.438 0.324 0.256
O: 0.567 0.389 0.745

Computed properties:
SG   P-1
Distance to the lowest polymorph of the same formula   0.00 eV per formula unit

Entry 11:
SiAgO3: relaxed, PBE.

abc: 3.621 3.621 3.621
angles: 90.00 90.00 90.00
Positions (direct):
Si: 0.000 0.000 0.000
Ag: 0.500 0.500 0.500
O: 0.000 0.000 0.500
O: 0.000 0.500 0.000
O: 0.500 0.000 0.000

Computed properties:
SG   Pm-3m

Entry 12:
YSi2Ag3O7: relaxed, PBE.

abc: 9.570 9.570 14.111
angles: 90.00 90.00 120.00
Positions (direct):
Y: 0.667 0.333 0.982
Y: 0.333 0.667 0.018
Y: 0.333 0.667 0.482
Y: 0.667 0.333 0.518
Y: 0.000 0.000 0.750
Y: 0.000 0.000 0.250
Si: 0.652 0.671 0.859
Si: 0.348 0.329 0.141
Si: 0.019 0.348 0.859
Si: 0.348 0.329 0.359
Si: 0.981 0.652 0.141
Si: 0.652 0.671 0.641
Si: 0.329 0.981 0.859
Si: 0.981 0.652 0.359
Si: 0.671 0.019 0.141
Si: 0.019 0.348 0.641
Si: 0.671 0.019 0.359
Si: 0.329 0.981 0.641
Ag: 0.684 0.008 0.907
Ag: 0.316 0.992 0.093
Ag: 0.324 0.316 0.907
Ag: 0.316 0.992 0.407
Ag: 0.676 0.684 0.093
Ag: 0.684 0.008 0.593
Ag: 0.992 0.676 0.907
Ag: 0.676 0.684 0.407
Ag: 0.008 0.324 0.093
Ag: 0.324 0.316 0.593
Ag: 0.008 0.324 0.407
Ag: 0.992 0.676 0.593
Ag: 0.333 0.667 0.750
Ag: 0.667 0.333 0.250
Ag: 0.667 0.333 0.750
Ag: 0.333 0.667 0.250
Ag: 0.000 0.000 0.000
Ag: 0.000 0.000 0.500
O: 0.950 0.152 0.856
O: 0.050 0.848 0.144
O: 0.201 0.050 0.856
O: 0.050 0.848 0.356
O: 0.799 0.950 0.144
O: 0.950 0.152 0.644
O: 0.848 0.799 0.856
O: 0.799 0.950 0.356
O: 0.152 0.201 0.144
O: 0.201 0.050 0.644
O: 0.152 0.201 0.356
O: 0.848 0.799 0.644
O: 0.877 0.391 0.882
O: 0.123 0.609 0.118
O: 0.514 0.123 0.882
O: 0.123 0.609 0.382
O: 0.486 0.877 0.118
O: 0.877 0.391 0.618
O: 0.609 0.486 0.882
O: 0.486 0.877 0.382
O: 0.391 0.514 0.118
O: 0.514 0.123 0.618
O: 0.391 0.514 0.382
O: 0.609 0.486 0.618
O: 0.557 0.731 0.931
O: 0.443 0.269 0.069
O: 0.174 0.443 0.931
O: 0.443 0.269 0.431
O: 0.826 0.557 0.069
O: 0.557 0.731 0.569
O: 0.269 0.826 0.931
O: 0.826 0.557 0.431
O: 0.731 0.174 0.069
O: 0.174 0.443 0.569
O: 0.731 0.174 0.431
O: 0.269 0.826 0.569
O: 0.583 0.676 0.750
O: 0.417 0.324 0.250
O: 0.094 0.417 0.750
O: 0.906 0.583 0.250
O: 0.324 0.906 0.750
O: 0.676 0.094 0.250

Computed properties:
SG   P6_3/m

no.,calculated density (Mg/m³),electronic total energy (eV/atom)
1,3.204,-4.670
2,6.513,-5.372
3,6.448,-5.319
4,5.052,-6.503
5,5.388,-7.048
6,5.392,-7.048
7,5.654,-6.940
8,5.772,-6.237
9,6.286,-5.042
10,6.010,-5.482
11,6.432,-5.865
12,5.169,-6.659